Record 1
PuAl3Pd2 after structural relaxation, computed with PBE.

Summary:
symmetry = P6/mmm, No. 191
E_form = -676 meV/atom
VASP energy = -6.654 eV per atom

Geometry as POSCAR:
```
PuAl3Pd2
1.0
0.1024 2.3462 -4.9187
-4.3988 -2.7957 1.5949
-1.6335 3.5046 1.6377
Pu Al Pd
1 3 2
Direct
0.0000 0.0000 0.0000 Pu
0.5000 0.0000 0.5000 Al
0.0000 0.5000 0.5000 Al
0.5000 0.5000 0.5000 Al
0.3333 0.6667 0.0000 Pd
0.6667 0.3333 0.0000 Pd
```

=====

Record 2
NaTl3S2 after structural relaxation, computed with PBE.

Summary:
E (MP2020) = -20.62 eV/f.u.
symmetry = Pmc2_1, No. 26
E_form = -655 meV/atom
VASP energy = -3.268 eV per atom

Geometry as POSCAR:
```
NaTl3S2
1.0
-3.2979 2.7396 0.2286
-3.5082 -3.7918 -5.1700
-5.2449 -7.0416 8.7235
Na Tl S
2 6 4
Direct
0.7500 0.5758 0.1090 Na
0.7500 0.0758 0.3910 Na
0.2500 0.5937 0.3670 Tl
0.2500 0.0937 0.1330 Tl
0.7500 0.4009 0.6219 Tl
0.7500 0.9009 0.8781 Tl
0.2500 0.4315 0.8725 Tl
0.2500 0.9315 0.6275 Tl
0.2500 0.7502 0.0204 S
0.2500 0.2502 0.4796 S
0.7500 0.2480 0.9998 S
0.7500 0.7480 0.5002 S
```

=====

Record 3
Li2SnB2O6 after structural relaxation, computed with PBE.

Summary:
E (MP2020) = -78.06 eV/f.u.
symmetry = P-1, No. 2
E_form = -2471 meV/atom
VASP energy = -6.722 eV per atom

Geometry as POSCAR:
```
Li2SnB2O6
1.0
0.6225 -0.5167 -5.0689
-1.1636 -6.5956 0.5996
-7.1717 3.7981 -1.2922
Li Sn B O
4 2 4 12
Direct
0.8179 0.0747 0.8981 Li
0.6309 0.2149 0.5969 Li
0.3691 0.7851 0.4031 Li
0.1821 0.9253 0.1019 Li
0.8790 0.4237 0.2514 Sn
0.1210 0.5763 0.7486 Sn
0.8561 0.8136 0.5504 B
0.6715 0.6563 0.8865 B
0.3285 0.3437 0.1135 B
0.1439 0.1864 0.4496 B
0.8978 0.2674 0.4207 O
0.7555 0.4625 0.7784 O
0.8756 0.7972 0.9472 O
0.7280 0.6980 0.3958 O
0.7447 0.9822 0.6580 O
0.5888 0.2951 0.0819 O
0.4112 0.7049 0.9181 O
0.2553 0.0178 0.3420 O
0.2720 0.3020 0.6042 O
0.1244 0.2028 0.0528 O
0.2445 0.5375 0.2216 O
0.1022 0.7326 0.5793 O
```

=====

Question: Which of these has the highest E_form?
Answer: NaTl3S2

=====

Question: Look up the E_form of the first one.
Answer: -676 meV/atom

=====

Question: E_form of number 3 (Li2SnB2O6)?
Answer: -2471 meV/atom

=====

Question: Among the records above, which one has the highest E_form?
Answer: NaTl3S2